## Sr4Y2MgRu2O12 (GGA-PBE)

Data for an optimized crystal structure of Sr4Y2MgRu2O12.

Computed properties:
formation energy from the elements = -2710 meV/atom

Cell lengths 5.7413, 6.0648, 8.6137 Å; angles 85.77, 91.00, 89.89 degrees
Positions (direct):
O: 0.1501 0.5402 0.2902
O: 0.7811 0.1742 0.0243
O: 0.2650 0.7638 0.5542
O: 0.4404 0.9742 0.2499
O: 0.5756 0.9862 0.7692
O: 0.2825 0.2291 0.9544
O: 0.6748 0.3977 0.4464
O: 0.1910 0.2853 0.5707
O: 0.7154 0.6969 0.0508
O: 0.7878 0.8204 0.4687
O: 0.2467 0.7546 0.9686
O: 0.9122 0.5433 0.7405
Y: 0.9987 0.4756 0.9841
Y: 0.5008 0.0811 0.5234
Sr: 0.4841 0.5445 0.7601
Sr: 0.0172 0.9896 0.7609
Sr: 0.4970 0.3690 0.1689
Sr: 0.0025 0.9211 0.2186
Ru: 0.9960 0.5484 0.5111
Ru: 0.5079 0.9658 0.9987
Mg: 0.4730 0.6786 0.3846